<A>
A relaxed structure of LiFe2F7. Source: the Materials Project, functional PBE+U.

Summary:
**SG**: Pna2_1
**Density**: 2.723 g/cm3

Cell lengths 7.5701, 8.0157, 10.1164 Å; angles 90.00, 90.00, 90.00 degrees
Closest atoms and distances in Å follow each position.
Positions (direct):
F  0.0233  0.5923  0.4715  1 Fe 1.85, 1 Li 1.92
F  0.8615  0.4267  0.9833  2 Fe 1.95-2.00
F  0.4428  0.4536  0.2716  1 Fe 1.86, 1 Li 1.91
F  0.1976  0.2521  0.0446  2 Fe 1.89-2.05
F  0.8895  0.3429  0.3058  1 Fe 1.86, 1 Li 1.91
F  0.7869  0.6521  0.2128  2 Fe 1.93-2.00
F  0.3799  0.6180  0.6202  1 Fe 1.84, 1 Li 1.90
F  0.4767  0.5923  0.9715  1 Fe 1.85, 1 Li 1.92
F  0.2869  0.1521  0.2872  2 Fe 1.93-2.00
Li  0.1304  0.6139  0.6426  4 F 1.90-1.92
Li  0.8696  0.1139  0.3574  4 F 1.90-1.92
Fe  0.6821  0.5430  0.8807  5 F 1.85-2.05
Li  0.6304  0.1139  0.8574  4 F 1.90-1.92
F  0.6201  0.1180  0.3798  1 Fe 1.84, 1 Li 1.90
F  0.6976  0.7521  0.4554  2 Fe 1.89-2.05
F  0.5233  0.0923  0.0285  1 Fe 1.85, 1 Li 1.92
Fe  0.5459  0.7850  0.6020  5 F 1.84-2.00
F  0.9428  0.9536  0.2284  1 Fe 1.86, 1 Li 1.91
Li  0.3696  0.6139  0.1426  4 F 1.90-1.92
Fe  0.1821  0.0430  0.6193  5 F 1.85-2.05
F  0.0572  0.4536  0.7716  1 Fe 1.86, 1 Li 1.91
F  0.1201  0.6180  0.1202  1 Fe 1.84, 1 Li 1.90
F  0.2131  0.1521  0.7872  2 Fe 1.93-2.00
F  0.1105  0.8429  0.6942  1 Fe 1.86, 1 Li 1.91
F  0.8799  0.1180  0.8798  1 Fe 1.84, 1 Li 1.90
Fe  0.4541  0.2850  0.3980  5 F 1.84-2.00
F  0.1385  0.9267  0.0167  2 Fe 1.95-2.00
Fe  0.8179  0.5430  0.3807  5 F 1.85-2.05
F  0.6105  0.3429  0.8058  1 Fe 1.86, 1 Li 1.91
F  0.3024  0.2521  0.5446  2 Fe 1.89-2.05
F  0.5572  0.9536  0.7284  1 Fe 1.86, 1 Li 1.91
F  0.3615  0.9267  0.5167  2 Fe 1.95-2.00
Fe  0.3179  0.0430  0.1193  5 F 1.85-2.05
F  0.9767  0.0923  0.5285  1 Fe 1.85, 1 Li 1.92
F  0.6385  0.4267  0.4833  2 Fe 1.95-2.00
F  0.7131  0.6521  0.7128  2 Fe 1.93-2.00
Fe  0.9541  0.7850  0.1020  5 F 1.84-2.00
F  0.8024  0.7521  0.9554  2 Fe 1.89-2.05
Fe  0.0459  0.2850  0.8980  5 F 1.84-2.00
F  0.3895  0.8429  0.1942  1 Fe 1.86, 1 Li 1.91

<B>
A relaxed structure of LiFe2F7. Source: the Materials Project, functional PBE+U.

Summary:
**SG**: P2_1/m
**Density**: 2.876 g/cm3

Cell lengths 9.3947, 5.1605, 6.0218 Å; angles 84.42, 90.00, 90.00 degrees
Closest atoms and distances in Å follow each position.
Positions (direct):
F  0.0439  0.7557  0.6303  1 Fe 1.85, 1 Li 1.96
F  0.5439  0.2443  0.3697  1 Fe 1.85, 1 Li 1.96
Li  0.7500  0.2989  0.3476  4 F 1.96-1.98
F  0.2500  0.5112  0.3852  1 Li 1.96, 2 Fe 2.05
F  0.7500  0.4888  0.6148  1 Li 1.96, 2 Fe 2.05
F  0.9561  0.2443  0.3697  1 Fe 1.85, 1 Li 1.96
Li  0.2500  0.7011  0.6524  4 F 1.96-1.98
F  0.7500  0.8940  0.8013  2 Fe 2.00
F  0.0052  0.2894  0.9019  2 Fe 1.98-1.99
F  0.2500  0.5416  0.9643  1 Li 1.98, 2 Fe 2.05
Fe  0.9020  0.6211  0.8205  6 F 1.85-2.05
F  0.7500  0.4584  0.0357  1 Li 1.98, 2 Fe 2.05
Fe  0.0980  0.3789  0.1795  6 F 1.85-2.05
F  0.4948  0.2894  0.9019  2 Fe 1.98-1.99
F  0.2500  0.1060  0.1987  2 Fe 2.00
F  0.5052  0.7106  0.0981  2 Fe 1.98-1.99
F  0.4561  0.7557  0.6303  1 Fe 1.85, 1 Li 1.96
Fe  0.5980  0.6211  0.8205  6 F 1.85-2.05
F  0.9948  0.7106  0.0981  2 Fe 1.98-1.99
Fe  0.4020  0.3789  0.1795  6 F 1.85-2.05

<C>
A relaxed structure of LiFe2F7. Source: the Materials Project, functional PBE+U.

Summary:
**SG**: P2_1/c
**Density**: 3.387 g/cm3

Cell lengths 5.1034, 7.4710, 13.0048 Å; angles 84.43, 90.00, 90.00 degrees
Closest atoms and distances in Å follow each position.
Positions (direct):
F  0.0625  0.6423  0.6867  2 Fe 1.96-1.97
Fe  0.2473  0.2762  0.3933  6 F 1.96-1.98
F  0.9375  0.3577  0.3133  2 Fe 1.96-1.97
F  0.5596  0.3116  0.0572  1 Fe 1.93, 2 Li 1.94-1.98
Fe  0.7527  0.7238  0.6067  6 F 1.96-1.98
F  0.4404  0.6884  0.9428  1 Fe 1.93, 2 Li 1.94-1.98
Fe  0.2479  0.6564  0.8186  6 F 1.90-2.02
F  0.8661  0.9739  0.6081  2 Fe 1.96
Fe  0.7473  0.2238  0.6067  6 F 1.96-1.98
F  0.0547  0.4232  0.1058  1 Fe 1.90, 1 Li 1.95
F  0.8950  0.0918  0.1766  2 Fe 2.00-2.02
Li  0.7549  0.3529  0.9289  3 F 1.94-1.98
F  0.3661  0.5261  0.3919  2 Fe 1.96
F  0.9433  0.2484  0.7360  2 Fe 1.98-1.99
F  0.1339  0.0261  0.3919  2 Fe 1.96
F  0.0567  0.7516  0.2640  2 Fe 1.98-1.99
F  0.4453  0.9232  0.1058  1 Fe 1.90, 1 Li 1.95
F  0.0510  0.3006  0.5217  2 Fe 1.96-1.97
Li  0.2549  0.1471  0.0711  3 F 1.94-1.98
F  0.5625  0.8577  0.3133  2 Fe 1.96-1.97
Li  0.7451  0.8529  0.9289  3 F 1.94-1.98
Fe  0.7521  0.3436  0.1814  6 F 1.90-2.02
F  0.3950  0.4082  0.8234  2 Fe 2.00-2.02
F  0.0596  0.1884  0.9428  1 Fe 1.93, 2 Li 1.94-1.98
F  0.4433  0.2516  0.2640  2 Fe 1.98-1.99
F  0.9490  0.6994  0.4783  2 Fe 1.96-1.97
F  0.6339  0.4739  0.6081  2 Fe 1.96
F  0.4375  0.1423  0.6867  2 Fe 1.96-1.97
F  0.4490  0.8006  0.5217  2 Fe 1.96-1.97
Fe  0.2521  0.1564  0.8186  6 F 1.90-2.02
F  0.5567  0.7484  0.7360  2 Fe 1.98-1.99
Fe  0.7479  0.8436  0.1814  6 F 1.90-2.02
F  0.9404  0.8116  0.0572  1 Fe 1.93, 2 Li 1.94-1.98
Fe  0.2527  0.7762  0.3933  6 F 1.96-1.98
F  0.5510  0.1994  0.4783  2 Fe 1.96-1.97
F  0.1050  0.9082  0.8234  2 Fe 2.00-2.02
Li  0.2451  0.6471  0.0711  3 F 1.94-1.98
F  0.9453  0.5768  0.8942  1 Fe 1.90, 1 Li 1.95
F  0.6050  0.5918  0.1766  2 Fe 2.00-2.02
F  0.5547  0.0768  0.8942  1 Fe 1.90, 1 Li 1.95

<D>
A relaxed structure of LiFe2F7. Source: the Materials Project, functional PBE+U.

Summary:
**SG**: P2/c
**Density**: 2.891 g/cm3

Cell lengths 5.1846, 5.5830, 10.1066 Å; angles 81.18, 90.00, 90.00 degrees
Closest atoms and distances in Å follow each position.
Positions (direct):
F  0.9393  0.8606  0.1085  2 Fe 2.01-2.03
Li  0.0566  0.5000  0.7500  2 F 1.83
F  0.0607  0.8606  0.6085  2 Fe 2.01-2.03
F  0.0997  0.6525  0.3767  1 Li 1.83, 1 Fe 1.86
F  0.4027  0.0000  0.2500  2 Fe 1.97
F  0.9393  0.1394  0.3915  2 Fe 2.01-2.03
F  0.0607  0.1394  0.8915  2 Fe 2.01-2.03
F  0.4323  0.7848  0.0125  2 Fe 1.95-2.04
F  0.5677  0.2152  0.9875  2 Fe 1.95-2.04
F  0.0997  0.3475  0.1233  1 Li 1.83, 1 Fe 1.86
F  0.9003  0.3475  0.6233  1 Li 1.83, 1 Fe 1.86
Fe  0.7499  0.0760  0.5697  6 F 1.86-2.04
F  0.9003  0.6525  0.8767  1 Li 1.83, 1 Fe 1.86
Fe  0.2501  0.9240  0.4303  6 F 1.86-2.04
F  0.5677  0.7848  0.5125  2 Fe 1.95-2.04
Fe  0.2501  0.0760  0.0697  6 F 1.86-2.04
F  0.5973  0.0000  0.7500  2 Fe 1.97
Li  0.9434  0.5000  0.2500  2 F 1.83
Fe  0.7499  0.9240  0.9303  6 F 1.86-2.04
F  0.4323  0.2152  0.4875  2 Fe 1.95-2.04

Which structure loses on stability? <B> does.